[1]
Fe2Si5 PBE relaxed; E_form = -0.208 eV/atom; corrected total energy (MP2020 scheme) = -6.504 eV/atom
1.0
-0.310 -1.567 2.158
-0.108 -2.163 -1.587
25.691 -2.602 1.799
Fe Si
4 10
direct
0.000 0.000 0.600
0.000 0.000 0.400
0.000 0.000 0.798
0.000 0.000 0.202
0.500 0.500 0.255
0.500 0.500 0.745
0.500 0.500 0.545
0.500 0.500 0.946
0.500 0.500 0.655
0.500 0.500 0.455
0.500 0.500 0.054
0.500 0.500 0.854
0.500 0.500 0.345
0.500 0.500 0.146

***

[2]
LuAl6Cr6 PBE relaxed; E_form = -0.120 eV/atom
1.0
-2.523 4.330 4.390
2.523 -4.330 4.390
2.523 4.330 -4.390
Cr Al Lu
6 6 1
direct
0.000 0.000 0.500
0.000 0.500 0.000
0.762 0.262 0.500
0.500 0.500 0.500
0.500 0.000 0.000
0.238 0.738 0.500
0.669 0.669 0.000
0.805 0.500 0.305
0.654 0.000 0.654
0.195 0.500 0.695
0.331 0.331 0.000
0.346 0.000 0.346
0.000 0.000 0.000